Compound: FeH6SO6
Source: Materials Project
Functional: PBE with a Hubbard U
Structure: relaxed

a b c (Å): 8.035 7.423 9.320
angles (deg): 75.74 90.00 90.00
Fractional positions:
1 Fe 0.642 0.157 0.522
2 Fe 0.142 0.843 0.978
3 Fe 0.358 0.843 0.478
4 Fe 0.858 0.157 0.022
5 H 0.731 0.517 0.520
6 H 0.231 0.483 0.980
7 H 0.269 0.483 0.480
8 H 0.769 0.517 0.020
9 H 0.577 0.480 0.631
10 H 0.077 0.520 0.869
11 H 0.423 0.520 0.369
12 H 0.923 0.480 0.131
13 H 0.515 0.682 0.753
14 H 0.015 0.318 0.747
15 H 0.485 0.318 0.247
16 H 0.985 0.682 0.253
17 H 0.328 0.619 0.752
18 H 0.828 0.381 0.748
19 H 0.672 0.381 0.248
20 H 0.172 0.619 0.252
21 H 0.578 0.150 0.877
22 H 0.078 0.850 0.623
23 H 0.422 0.850 0.123
24 H 0.922 0.150 0.377
25 H 0.505 0.236 0.008
26 H 0.005 0.764 0.492
27 H 0.495 0.764 0.992
28 H 0.995 0.236 0.508
29 S 0.291 0.152 0.688
30 S 0.791 0.848 0.812
31 S 0.709 0.848 0.312
32 S 0.209 0.152 0.188
33 O 0.380 0.099 0.554
34 O 0.880 0.901 0.946
35 O 0.620 0.901 0.446
36 O 0.120 0.099 0.054
37 O 0.685 0.020 0.743
38 O 0.185 0.980 0.757
39 O 0.315 0.980 0.257
40 O 0.815 0.020 0.243
41 O 0.663 0.698 0.887
42 O 0.163 0.302 0.613
43 O 0.337 0.302 0.113
44 O 0.837 0.698 0.387
45 O 0.676 0.420 0.599
46 O 0.176 0.580 0.901
47 O 0.324 0.580 0.401
48 O 0.824 0.420 0.099
49 O 0.428 0.649 0.687
50 O 0.928 0.351 0.813
51 O 0.572 0.351 0.313
52 O 0.072 0.649 0.187
53 O 0.607 0.215 0.954
54 O 0.107 0.785 0.546
55 O 0.393 0.785 0.046
56 O 0.893 0.215 0.454

The calculation puts the calculated formation energy at -1406 meV per atom. The calculation puts the spin magnetization at 16.00 Bohr magnetons per cell. Its symmetry is P2_1/c (14). The crystal system is monoclinic. The total energy after the MP2020 corrections comes out at -5.881 eV per atom.